# Fe3CoP4O16 (PBE with a Hubbard U, optimized geometry)
# ΔE_f: -2.24 eV per atom
# Electronic total energy: -167.65 eV per cell
# Volume: 11.9 Å³ per atom
data_Fe3CoP4O16
_cell_length_a 4.860
_cell_length_b 5.891
_cell_length_c 9.938
_cell_angle_alpha 90.00
_cell_angle_beta 90.13
_cell_angle_gamma 90.00
_symmetry_space_group_name_H-M 'P 1 m 1'
_symmetry_Int_Tables_number 6
loop_
_symmetry_equiv_pos_as_xyz
'x,y,z'
'x,-y,z'
loop_
_atom_site_label
_atom_site_type_symbol
_atom_site_fract_x
_atom_site_fract_y
_atom_site_fract_z
Fe1 Fe 0.000 0.000 0.000
Fe2 Fe 0.069 0.500 0.550
Fe3 Fe 0.570 0.000 0.501
Co1 Co 0.470 0.500 0.060
P1 P 0.121 0.000 0.680
P2 P 0.462 0.000 0.180
P3 P 0.619 0.500 0.369
P4 P 0.950 0.500 0.879
O1 O 0.191 0.000 0.829
O2 O 0.267 0.203 0.604
O3 O 0.267 0.500 0.897
O4 O 0.309 0.500 0.392
O5 O 0.314 0.202 0.103
O6 O 0.383 0.000 0.328
O7 O 0.693 0.500 0.219
O8 O 0.766 0.297 0.444
O9 O 0.772 0.000 0.161
O10 O 0.808 0.295 0.950
O11 O 0.811 0.000 0.656
O12 O 0.896 0.500 0.727

# FeCoPO5 (PBE with a Hubbard U, optimized geometry)
# ΔE_f: -2.01 eV per atom
# Electronic total energy: -218.08 eV per cell
# Volume: 11.3 Å³ per atom
data_FeCoPO5
_cell_length_a 7.416
_cell_length_b 6.530
_cell_length_c 7.480
_cell_angle_alpha 90.00
_cell_angle_beta 90.00
_cell_angle_gamma 90.00
_symmetry_space_group_name_H-M 'P n m a'
_symmetry_Int_Tables_number 62
loop_
_symmetry_equiv_pos_as_xyz
'x,y,z'
'-x,-y,-z'
'-x+1/2,-y,z+1/2'
'x+1/2,y,-z+1/2'
'x+1/2,-y+1/2,-z+1/2'
'-x+1/2,y+1/2,z+1/2'
'-x,y+1/2,-z'
'x,-y+1/2,z'
loop_
_atom_site_label
_atom_site_type_symbol
_atom_site_fract_x
_atom_site_fract_y
_atom_site_fract_z
Fe1 Fe 0.152 0.250 0.216
Co1 Co 0.000 0.000 0.500
P1 P 0.123 0.750 0.133
O1 O 0.050 0.250 0.978
O2 O 0.096 0.750 0.643
O3 O 0.130 0.559 0.257
O4 O 0.206 0.250 0.511